# 1
Rb2Ti4H3F21 after structural relaxation, computed with GGA-PBE. Values from VASP.

## Properties
MP2020-corrected energy   -6.10 eV per atom
DFT total energy   -346.513 eV/cell
M_tot   0.00 μB per formula unit

Quantum ESPRESSO input file:
```
&SYSTEM
  ibrav = 0, nat = 60, ntyp = 4
/
ATOMIC_SPECIES
Rb 85.47 Rb.upf
Ti 47.87 Ti.upf
H 1.01 H.upf
F 19.00 F.upf
ATOMIC_POSITIONS crystal
Rb 0.315 0.927 0.110
Rb 0.685 0.073 0.890
Rb 0.906 0.159 0.356
Rb 0.094 0.841 0.644
Ti 0.795 0.401 0.606
Ti 0.205 0.599 0.394
Ti 0.777 0.688 0.825
Ti 0.223 0.312 0.175
Ti 0.328 0.427 0.719
Ti 0.672 0.573 0.281
Ti 0.347 0.144 0.497
Ti 0.653 0.856 0.503
H 0.347 0.186 0.876
H 0.653 0.814 0.124
H 0.198 0.551 0.001
H 0.802 0.449 0.999
H 0.642 0.266 0.157
H 0.358 0.734 0.843
F 0.315 0.086 0.874
F 0.685 0.914 0.126
F 0.563 0.294 0.550
F 0.437 0.706 0.450
F 0.784 0.541 0.719
F 0.216 0.459 0.281
F 0.204 0.643 0.988
F 0.796 0.357 0.012
F 0.626 0.169 0.147
F 0.374 0.831 0.853
F 0.722 0.502 0.452
F 0.278 0.498 0.548
F 0.773 0.275 0.480
F 0.227 0.725 0.520
F 0.993 0.535 0.647
F 0.007 0.465 0.353
F 0.831 0.309 0.744
F 0.169 0.691 0.256
F 0.982 0.806 0.868
F 0.018 0.194 0.132
F 0.813 0.601 0.972
F 0.187 0.399 0.028
F 0.745 0.820 0.893
F 0.255 0.180 0.107
F 0.551 0.549 0.754
F 0.449 0.451 0.246
F 0.393 0.347 0.868
F 0.607 0.653 0.132
F 0.341 0.578 0.811
F 0.659 0.422 0.189
F 0.122 0.308 0.661
F 0.878 0.692 0.339
F 0.342 0.286 0.614
F 0.658 0.714 0.386
F 0.413 0.069 0.645
F 0.587 0.931 0.355
F 0.286 0.254 0.354
F 0.714 0.746 0.646
F 0.138 0.035 0.451
F 0.862 0.965 0.549
F 0.356 0.038 0.377
F 0.644 0.962 0.623
CELL_PARAMETERS angstrom
10.554 0.000 0.000
-4.599 -9.529 0.000
-4.411 2.011 -9.796
```


# 2
SbHSF10 after structural relaxation, computed with GGA-PBE. Values from VASP.

## Properties
MP2020-corrected energy   -4.65 eV per atom
DFT total energy   -223.084 eV/cell
M_tot   0.01 μB per formula unit

Quantum ESPRESSO input file:
```
&SYSTEM
  ibrav = 0, nat = 52, ntyp = 4
/
ATOMIC_SPECIES
Sb 121.76 Sb.upf
H 1.01 H.upf
S 32.06 S.upf
F 19.00 F.upf
ATOMIC_POSITIONS crystal
Sb 0.123 0.745 0.967
Sb 0.877 0.245 0.533
Sb 0.877 0.255 0.033
Sb 0.123 0.755 0.467
H 0.259 0.109 0.881
H 0.741 0.609 0.619
H 0.741 0.891 0.119
H 0.259 0.391 0.381
S 0.454 0.473 0.793
S 0.546 0.973 0.707
S 0.546 0.527 0.207
S 0.454 0.027 0.293
F 0.224 0.672 0.103
F 0.776 0.172 0.397
F 0.776 0.328 0.897
F 0.224 0.828 0.603
F 0.033 0.815 0.832
F 0.967 0.315 0.668
F 0.967 0.185 0.168
F 0.033 0.685 0.332
F 0.348 0.875 0.000
F 0.652 0.375 0.500
F 0.652 0.125 0.000
F 0.348 0.625 0.500
F 0.900 0.613 0.936
F 0.100 0.113 0.564
F 0.100 0.387 0.064
F 0.900 0.887 0.436
F 0.362 0.642 0.915
F 0.638 0.142 0.585
F 0.638 0.358 0.085
F 0.362 0.858 0.415
F 0.889 0.844 0.024
F 0.111 0.344 0.476
F 0.111 0.156 0.976
F 0.889 0.656 0.524
F 0.487 0.368 0.714
F 0.513 0.868 0.786
F 0.513 0.632 0.286
F 0.487 0.132 0.214
F 0.296 0.397 0.858
F 0.704 0.897 0.642
F 0.704 0.603 0.142
F 0.296 0.103 0.358
F 0.256 0.544 0.724
F 0.744 0.044 0.776
F 0.744 0.456 0.276
F 0.256 0.956 0.224
F 0.293 0.098 0.811
F 0.707 0.598 0.689
F 0.707 0.902 0.189
F 0.293 0.402 0.311
CELL_PARAMETERS angstrom
5.740 0.000 0.000
0.000 10.649 0.000
-1.847 0.000 12.839
```


# 3
SbH7F12 after structural relaxation, computed with GGA-PBE. Values from VASP.

## Properties
MP2020-corrected energy   -4.58 eV per atom
DFT total energy   -86.141 eV/cell

Quantum ESPRESSO input file:
```
&SYSTEM
  ibrav = 0, nat = 20, ntyp = 3
/
ATOMIC_SPECIES
Sb 121.76 Sb.upf
H 1.01 H.upf
F 19.00 F.upf
ATOMIC_POSITIONS crystal
Sb 0.001 0.999 0.000
H 0.798 0.825 0.801
H 0.175 0.202 0.199
H 0.714 0.734 0.570
H 0.266 0.286 0.430
H 0.632 0.633 0.358
H 0.367 0.368 0.642
H 0.501 0.499 0.500
F 0.913 0.909 0.792
F 0.091 0.087 0.208
F 0.569 0.568 0.310
F 0.432 0.431 0.690
F 0.716 0.715 0.385
F 0.285 0.284 0.615
F 0.869 0.284 0.765
F 0.716 0.131 0.235
F 0.133 0.715 0.237
F 0.285 0.867 0.763
F 0.721 0.765 0.809
F 0.235 0.279 0.191
CELL_PARAMETERS angstrom
-1.647 0.146 -7.863
3.624 -3.200 -6.417
-2.477 -4.419 -1.194
```


# 4
SiH3F after structural relaxation, computed with GGA-PBE. Values from VASP.

## Properties
MP2020-corrected energy   -4.34 eV per atom
DFT total energy   -84.986 eV/cell
M_tot   0.00 μB per formula unit

Quantum ESPRESSO input file:
```
&SYSTEM
  ibrav = 0, nat = 20, ntyp = 3
/
ATOMIC_SPECIES
Si 28.09 Si.upf
H 1.01 H.upf
F 19.00 F.upf
ATOMIC_POSITIONS crystal
Si 0.770 0.105 0.091
Si 0.270 0.895 0.409
Si 0.230 0.895 0.909
Si 0.730 0.105 0.591
H 0.782 0.785 0.220
H 0.282 0.215 0.280
H 0.218 0.215 0.780
H 0.718 0.785 0.720
H 0.881 0.312 0.128
H 0.381 0.688 0.372
H 0.119 0.688 0.872
H 0.619 0.312 0.628
H 0.906 0.214 0.561
H 0.406 0.786 0.939
H 0.094 0.786 0.439
H 0.594 0.214 0.061
F 0.834 0.109 0.909
F 0.334 0.891 0.591
F 0.166 0.891 0.091
F 0.666 0.109 0.409
CELL_PARAMETERS angstrom
7.994 0.000 0.000
0.000 4.866 0.000
0.000 3.665 7.835
```


# 5
SrSiH2F6 after structural relaxation, computed with GGA-PBE. Values from VASP.

## Properties
MP2020-corrected energy   -5.08 eV per atom
DFT total energy   -192.149 eV/cell
M_tot   2.00 μB per formula unit

Quantum ESPRESSO input file:
```
&SYSTEM
  ibrav = 0, nat = 40, ntyp = 4
/
ATOMIC_SPECIES
Sr 87.62 Sr.upf
Si 28.09 Si.upf
H 1.01 H.upf
F 19.00 F.upf
ATOMIC_POSITIONS crystal
Sr 0.776 0.777 0.555
Sr 0.224 0.223 0.445
Sr 0.276 0.223 0.945
Sr 0.724 0.777 0.055
Si 0.469 0.853 0.747
Si 0.531 0.147 0.253
Si 0.969 0.147 0.753
Si 0.031 0.853 0.247
H 0.091 0.758 0.611
H 0.909 0.242 0.389
H 0.591 0.242 0.889
H 0.409 0.758 0.111
H 0.342 0.566 0.528
H 0.658 0.434 0.472
H 0.842 0.434 0.972
H 0.158 0.566 0.028
F 0.066 0.299 0.828
F 0.934 0.701 0.172
F 0.566 0.701 0.672
F 0.434 0.299 0.328
F 0.367 0.989 0.828
F 0.633 0.011 0.172
F 0.867 0.011 0.672
F 0.133 0.989 0.328
F 0.371 0.600 0.809
F 0.629 0.400 0.191
F 0.871 0.400 0.691
F 0.129 0.600 0.309
F 0.066 0.253 0.611
F 0.934 0.747 0.389
F 0.566 0.747 0.889
F 0.434 0.253 0.111
F 0.366 0.950 0.610
F 0.634 0.050 0.390
F 0.866 0.050 0.890
F 0.134 0.950 0.110
F 0.063 0.906 0.814
F 0.937 0.094 0.186
F 0.563 0.094 0.686
F 0.437 0.906 0.314
CELL_PARAMETERS angstrom
10.074 0.000 0.000
0.000 6.009 0.000
0.000 3.807 10.067
```


# 6
HfF4 after structural relaxation, computed with GGA-PBE. Values from VASP.

## Properties
MP2020-corrected energy   -7.65 eV per atom
DFT total energy   -218.345 eV/cell

Quantum ESPRESSO input file:
```
&SYSTEM
  ibrav = 0, nat = 30, ntyp = 2
/
ATOMIC_SPECIES
Hf 178.49 Hf.upf
F 19.00 F.upf
ATOMIC_POSITIONS crystal
Hf 0.786 0.214 0.750
Hf 0.214 0.786 0.250
Hf 0.224 0.366 0.833
Hf 0.634 0.776 0.667
Hf 0.776 0.634 0.167
Hf 0.366 0.224 0.333
F 0.317 0.258 0.607
F 0.742 0.683 0.893
F 0.683 0.742 0.393
F 0.258 0.317 0.107
F 0.816 0.402 0.424
F 0.598 0.184 0.076
F 0.606 0.394 0.250
F 0.394 0.606 0.750
F 0.261 0.502 0.283
F 0.498 0.739 0.217
F 0.739 0.498 0.717
F 0.502 0.261 0.783
F 0.030 0.724 0.150
F 0.276 0.970 0.350
F 0.970 0.276 0.850
F 0.724 0.030 0.650
F 0.000 0.500 0.000
F 0.500 0.000 0.500
F 0.173 0.063 0.044
F 0.937 0.827 0.456
F 0.827 0.937 0.956
F 0.063 0.173 0.544
F 0.402 0.816 0.924
F 0.184 0.598 0.576
CELL_PARAMETERS angstrom
-6.602 2.430 3.199
-3.101 -6.802 1.959
-0.896 -1.353 7.549
```


# 7
K5Hf3OF17 after structural relaxation, computed with GGA-PBE. Values from VASP.

## Properties
MP2020-corrected energy   -6.34 eV per atom
DFT total energy   -625.468 eV/cell
M_tot   0.00 μB per formula unit

Quantum ESPRESSO input file:
```
&SYSTEM
  ibrav = 0, nat = 104, ntyp = 4
/
ATOMIC_SPECIES
K 39.10 K.upf
Hf 178.49 Hf.upf
O 16.00 O.upf
F 19.00 F.upf
ATOMIC_POSITIONS crystal
K 0.838 0.267 0.872
K 0.338 0.233 0.628
K 0.162 0.733 0.372
K 0.662 0.767 0.128
K 0.162 0.733 0.128
K 0.662 0.767 0.372
K 0.838 0.267 0.628
K 0.338 0.233 0.872
K 0.593 0.093 0.437
K 0.093 0.407 0.063
K 0.407 0.907 0.937
K 0.907 0.593 0.563
K 0.407 0.907 0.563
K 0.907 0.593 0.937
K 0.593 0.093 0.063
K 0.093 0.407 0.437
K 0.637 0.740 0.750
K 0.137 0.760 0.750
K 0.363 0.260 0.250
K 0.863 0.240 0.250
Hf 0.916 0.896 0.940
Hf 0.416 0.604 0.560
Hf 0.084 0.104 0.440
Hf 0.584 0.396 0.060
Hf 0.084 0.104 0.060
Hf 0.584 0.396 0.440
Hf 0.916 0.896 0.560
Hf 0.416 0.604 0.940
Hf 0.649 0.048 0.750
Hf 0.149 0.452 0.750
Hf 0.351 0.952 0.250
Hf 0.851 0.548 0.250
O 0.829 0.920 0.250
O 0.329 0.580 0.250
O 0.171 0.080 0.750
O 0.671 0.420 0.750
F 0.929 0.057 0.956
F 0.429 0.443 0.544
F 0.071 0.943 0.456
F 0.571 0.557 0.044
F 0.071 0.943 0.044
F 0.571 0.557 0.456
F 0.929 0.057 0.544
F 0.429 0.443 0.956
F 0.936 0.778 0.021
F 0.436 0.722 0.479
F 0.064 0.222 0.521
F 0.564 0.278 0.979
F 0.064 0.222 0.979
F 0.564 0.278 0.521
F 0.936 0.778 0.479
F 0.436 0.722 0.021
F 0.875 0.777 0.862
F 0.375 0.723 0.638
F 0.125 0.223 0.362
F 0.625 0.277 0.138
F 0.125 0.223 0.138
F 0.625 0.277 0.362
F 0.875 0.777 0.638
F 0.375 0.723 0.862
F 0.790 0.954 0.835
F 0.290 0.546 0.665
F 0.210 0.046 0.335
F 0.710 0.454 0.165
F 0.210 0.046 0.165
F 0.710 0.454 0.335
F 0.790 0.954 0.665
F 0.290 0.546 0.835
F 0.709 0.911 0.002
F 0.209 0.589 0.498
F 0.291 0.089 0.502
F 0.791 0.411 0.998
F 0.291 0.089 0.998
F 0.791 0.411 0.502
F 0.709 0.911 0.498
F 0.209 0.589 0.002
F 0.120 0.901 0.876
F 0.620 0.599 0.624
F 0.880 0.099 0.376
F 0.380 0.401 0.124
F 0.880 0.099 0.124
F 0.380 0.401 0.376
F 0.120 0.901 0.624
F 0.620 0.599 0.876
F 0.852 0.125 0.750
F 0.352 0.375 0.750
F 0.148 0.875 0.250
F 0.648 0.625 0.250
F 0.555 0.068 0.630
F 0.055 0.432 0.870
F 0.445 0.932 0.130
F 0.945 0.568 0.370
F 0.445 0.932 0.370
F 0.945 0.568 0.130
F 0.555 0.068 0.870
F 0.055 0.432 0.630
F 0.504 0.927 0.750
F 0.004 0.573 0.750
F 0.496 0.073 0.250
F 0.996 0.427 0.250
F 0.567 0.193 0.750
F 0.067 0.307 0.750
F 0.433 0.807 0.250
F 0.933 0.693 0.250
CELL_PARAMETERS angstrom
8.526 0.000 0.000
0.000 13.428 0.000
0.000 0.000 15.409
```


# 8
KHfPdF7 after structural relaxation, computed with GGA-PBE. Values from VASP.

## Properties
MP2020-corrected energy   -6.11 eV per atom
DFT total energy   -231.339 eV/cell

Quantum ESPRESSO input file:
```
&SYSTEM
  ibrav = 0, nat = 40, ntyp = 4
/
ATOMIC_SPECIES
K 39.10 K.upf
Hf 178.49 Hf.upf
Pd 106.42 Pd.upf
F 19.00 F.upf
ATOMIC_POSITIONS crystal
K 0.268 0.000 0.250
K 0.232 0.500 0.250
K 0.732 0.000 0.750
K 0.768 0.500 0.750
Hf 0.750 0.750 0.407
Hf 0.750 0.250 0.093
Hf 0.250 0.250 0.593
Hf 0.250 0.750 0.907
Pd 0.250 0.750 0.599
Pd 0.250 0.250 0.901
Pd 0.750 0.250 0.401
Pd 0.750 0.750 0.099
F 0.951 0.181 0.547
F 0.951 0.819 0.953
F 0.549 0.681 0.953
F 0.549 0.319 0.547
F 0.049 0.819 0.453
F 0.049 0.181 0.047
F 0.451 0.319 0.047
F 0.451 0.681 0.453
F 0.250 0.750 0.080
F 0.250 0.250 0.420
F 0.750 0.250 0.920
F 0.750 0.750 0.580
F 0.933 0.792 0.256
F 0.933 0.208 0.244
F 0.567 0.292 0.244
F 0.567 0.708 0.256
F 0.067 0.208 0.744
F 0.067 0.792 0.756
F 0.433 0.708 0.756
F 0.433 0.292 0.744
F 0.651 0.014 0.105
F 0.651 0.986 0.395
F 0.849 0.514 0.395
F 0.849 0.486 0.105
F 0.349 0.986 0.895
F 0.349 0.014 0.605
F 0.151 0.486 0.605
F 0.151 0.514 0.895
CELL_PARAMETERS angstrom
-1.673 -0.943 -6.198
-6.990 -3.331 2.393
-5.032 10.399 -0.223
```


# 9
LaHfF7 after structural relaxation, computed with GGA-PBE. Values from VASP.

## Properties
MP2020-corrected energy   -7.48 eV per atom
DFT total energy   -128.136 eV/cell

Quantum ESPRESSO input file:
```
&SYSTEM
  ibrav = 0, nat = 18, ntyp = 3
/
ATOMIC_SPECIES
La 138.91 La.upf
Hf 178.49 Hf.upf
F 19.00 F.upf
ATOMIC_POSITIONS crystal
La 0.202 0.657 0.312
La 0.702 0.343 0.688
Hf 0.211 0.813 0.775
Hf 0.711 0.187 0.225
F 0.381 0.445 0.528
F 0.881 0.555 0.472
F 0.917 0.933 0.233
F 0.417 0.067 0.767
F 0.450 0.978 0.236
F 0.950 0.022 0.764
F 0.505 0.442 0.213
F 0.005 0.558 0.787
F 0.206 0.759 0.015
F 0.706 0.241 0.985
F 0.214 0.858 0.536
F 0.714 0.142 0.464
F 0.992 0.371 0.217
F 0.492 0.629 0.783
CELL_PARAMETERS angstrom
5.904 0.000 0.000
0.000 6.371 0.000
0.000 1.761 8.392
```


| no. | formation enthalpy at 0 K (eV/atom) |
| --- | --- |
| 1 | -3.301 |
| 2 | -2.276 |
| 3 | -2.042 |
| 4 | -0.838 |
| 5 | -2.542 |
| 6 | -4.125 |
| 7 | -3.538 |
| 8 | -3.142 |
| 9 | -4.334 |